Arrangement w

Computed, not measured: a relaxed Mg2Mn3O8 crystal at the PBE with a Hubbard U level of DFT.

Cell and atoms, written as CIF:
```
data_Mg2Mn3O8
_chemical_formula_sum 'Mg8 Mn12 O32'
_space_group_name_H-M_alt 'C m c e'
_space_group_IT_number 64
_space_group_name_Hall '-C 2ac 2'
_cell_length_a 5.866
_cell_length_b 11.474
_cell_length_c 8.415
_cell_angle_alpha 90.00
_cell_angle_beta 90.00
_cell_angle_gamma 90.00
loop_
_atom_site_label
_atom_site_type_symbol
_atom_site_fract_x
_atom_site_fract_y
_atom_site_fract_z
Mg1 Mg 0.000 0.141 0.106
Mn1 Mn 0.000 0.000 0.500
Mn2 Mn 0.250 0.123 0.750
O1 O 0.000 0.003 0.736
O2 O 0.000 0.229 0.762
O3 O 0.231 0.115 0.526
```

Output
The mass density comes out at 4.0 g/cm3.

***

Arrangement x

Computed, not measured: a relaxed Mg2Mn3O8 crystal at the PBE with a Hubbard U level of DFT.

Cell and atoms, written as CIF:
```
data_Mg2Mn3O8
_chemical_formula_sum 'Mg6 Mn9 O24'
_space_group_name_H-M_alt 'R 3 m'
_space_group_IT_number 160
_space_group_name_Hall 'R 3 -2"'
_cell_length_a 5.8623
_cell_length_b 5.8623
_cell_length_c 14.7437
_cell_angle_alpha 90.00
_cell_angle_beta 90.00
_cell_angle_gamma 120.00
loop_
_atom_site_label
_atom_site_type_symbol
_atom_site_fract_x
_atom_site_fract_y
_atom_site_fract_z
Mg1 Mg 0.0000 0.0000 0.0000
Mg2 Mg 0.0000 0.0000 0.3807
Mn1 Mn 0.0058 0.5029 0.5008
O1 O 0.0000 0.0000 0.2387
O2 O 0.0000 0.0000 0.7651
O3 O 0.0304 0.5152 0.7594
O4 O 0.1833 0.3665 0.5697
```

Output
The mass density comes out at 3.9 g/cm3. The value obtained for the largest piezoelectric modulus is 0.748 C/m2.

***

Arrangement y

Computed, not measured: a relaxed Mg2Mn3O8 crystal at the PBE with a Hubbard U level of DFT.

Cell and atoms, written as CIF:
```
data_Mg2Mn3O8
_chemical_formula_sum 'Mg4 Mn6 O16'
_space_group_name_H-M_alt 'P m n 21'
_space_group_IT_number 31
_cell_length_a 5.873
_cell_length_b 4.984
_cell_length_c 9.496
_cell_angle_alpha 90.00
_cell_angle_beta 90.00
_cell_angle_gamma 90.00
loop_
_space_group_symop_operation_xyz
'x,y,z'
'-x+1/2,-y,z+1/2'
'-x,y,z'
'x+1/2,-y,z+1/2'
loop_
_atom_site_label
_atom_site_type_symbol
_atom_site_fract_x
_atom_site_fract_y
_atom_site_fract_z
Mg1 Mg 0.000 0.163 0.000
Mg2 Mg 0.000 0.176 0.600
Mn1 Mn 0.000 0.828 0.321
Mn2 Mn 0.241 0.664 0.818
O1 O 0.000 0.160 0.212
O2 O 0.000 0.495 0.427
O3 O 0.000 0.538 0.931
O4 O 0.000 0.811 0.711
O5 O 0.220 0.020 0.438
O6 O 0.237 0.660 0.215
```

Output
The mass density comes out at 4.1 g/cm3.

***

Of the structures shown above, arrangement y is the most stable.